Computed, not measured: a geometry-optimized Na3CoO2 structure at the PBE with a Hubbard U level of DFT.

Unit cell a=9.447 b=9.447 c=4.679 alpha=90.00 beta=90.00 gamma=90.00
Space group P4_2/mnm (No. 136)
One atom of each set of equivalent atoms:
Na (0.026, 0.342, 0.000)
Na (0.141, 0.859, 0.500)
Co (0.177, 0.177, 0.500)
O (0.040, 0.305, 0.500)

E_tot: -4.31 eV/atom
E_form: -1.32 eV/atom


Computed, not measured: a geometry-optimized Fe3P6WO24 structure at the PBE with a Hubbard U level of DFT.

Unit cell a=8.7309 b=8.7309 c=22.1971 alpha=90.00 beta=90.00 gamma=120.00
Space group R3 (No. 146, hexagonal axes)
One atom of each set of equivalent atoms:
Fe (0.0000, 0.0000, 0.0000)
Fe (0.0000, 0.0000, 0.2143)
Fe (0.0000, 0.0000, 0.4978)
P (0.0038, 0.2827, 0.1065)
P (0.0037, 0.7149, 0.6052)
W (0.0000, 0.0000, 0.7141)
O (0.0241, 0.1940, 0.7624)
O (0.0289, 0.8290, 0.5497)
O (0.0302, 0.2020, 0.0495)
O (0.0365, 0.8331, 0.2673)
O (0.1633, 0.4661, 0.1154)
O (0.1626, 0.6835, 0.3291)
O (0.1655, 0.4614, 0.8291)
O (0.1663, 0.6962, 0.6126)

E_tot: -7.02 eV/atom
E_form: -2.26 eV/atom


Computed, not measured: a geometry-optimized Bi2W3C15O15 structure at the PBE with a Hubbard U level of DFT.

Unit cell a=7.085 b=11.029 c=17.563 alpha=87.50 beta=83.01 gamma=73.28
Space group P-1 (No. 2)
One atom of each set of equivalent atoms:
Bi (0.064, 0.255, 0.243)
Bi (0.350, 0.740, 0.726)
W (0.052, 0.985, 0.807)
W (0.133, 0.722, 0.583)
W (0.253, 0.523, 0.832)
C (0.005, 0.842, 0.146)
C (0.024, 0.462, 0.108)
C (0.066, 0.098, 0.415)
C (0.072, 0.076, 0.090)
C (0.098, 0.359, 0.408)
C (0.122, 0.714, 0.468)
C (0.179, 0.047, 0.704)
C (0.190, 0.418, 0.747)
C (0.229, 0.941, 0.229)
C (0.307, 0.629, 0.917)
C (0.321, 0.946, 0.852)
C (0.329, 0.542, 0.583)
C (0.341, 0.359, 0.893)
C (0.371, 0.797, 0.547)
C (0.451, 0.530, 0.214)
O (0.041, 0.743, 0.118)
O (0.118, 0.711, 0.403)
O (0.141, 0.105, 0.032)
O (0.158, 0.354, 0.703)
O (0.172, 0.459, 0.070)
O (0.179, 0.997, 0.415)
O (0.223, 0.408, 0.410)
O (0.253, 0.077, 0.647)
O (0.283, 0.569, 0.236)
O (0.335, 0.687, 0.966)
O (0.386, 0.891, 0.247)
O (0.394, 0.263, 0.925)
O (0.437, 0.440, 0.582)
O (0.466, 0.933, 0.881)
O (0.500, 0.163, 0.479)

E_tot: -7.43 eV/atom
E_form: -0.70 eV/atom


Computed, not measured: a geometry-optimized Zr4Fe2H2O structure at the PBE with a Hubbard U level of DFT.

Unit cell a=12.686 b=12.686 c=12.686 alpha=90.00 beta=90.00 gamma=90.00
Space group Fd-3m (No. 227, origin choice 2)
One atom of each set of equivalent atoms:
Zr (0.000, 0.000, 0.000)
Zr (0.065, 0.375, 0.875)
Fe (0.045, 0.045, 0.205)
H (0.043, 0.043, 0.707)
O (0.000, 0.000, 0.500)

E_tot: -6.84 eV/atom
E_form: -0.43 eV/atom


Computed, not measured: a geometry-optimized Mn6O5F7 structure at the PBE with a Hubbard U level of DFT.

Unit cell a=4.786 b=5.711 c=7.871 alpha=86.11 beta=87.51 gamma=86.08
Space group P1 (No. 1)
One atom of each set of equivalent atoms:
Mn (0.000, 0.000, 0.000)
Mn (0.012, 0.366, 0.678)
Mn (0.452, 0.521, 0.997)
Mn (0.484, 0.842, 0.672)
Mn (0.514, 0.171, 0.329)
Mn (0.978, 0.690, 0.333)
O (0.180, 0.715, 0.107)
O (0.187, 0.058, 0.773)
O (0.297, 0.558, 0.775)
O (0.794, 0.643, 0.565)
O (0.807, 0.975, 0.227)
F (0.190, 0.387, 0.422)
F (0.288, 0.213, 0.104)
F (0.301, 0.888, 0.435)
F (0.668, 0.481, 0.218)
F (0.689, 0.811, 0.901)
F (0.690, 0.144, 0.575)
F (0.776, 0.309, 0.914)

E_tot: -6.67 eV/atom
E_form: -2.42 eV/atom
Energy relative to the lowest polymorph listed for this composition: 18.5 meV per atom


Computed, not measured: a geometry-optimized Li3FeSiO5 structure at the PBE with a Hubbard U level of DFT.

Unit cell a=5.473 b=15.804 c=4.946 alpha=90.00 beta=90.00 gamma=90.00
Space group Pna2_1 (No. 33)
One atom of each set of equivalent atoms:
Li (0.164, 0.092, 0.000)
Li (0.165, 0.506, 0.005)
Li (0.180, 0.695, 0.001)
Fe (0.169, 0.303, 0.002)
Si (0.164, 0.903, 0.007)
O (0.117, 0.101, 0.604)
O (0.166, 0.701, 0.599)
O (0.180, 0.898, 0.666)
O (0.183, 0.486, 0.608)
O (0.188, 0.314, 0.612)

E_tot: -6.37 eV/atom
E_form: -2.50 eV/atom
Energy relative to the lowest polymorph listed for this composition: 0.0 meV per atom


Computed, not measured: a geometry-optimized Li9Mn2Co5O16 structure at the PBE with a Hubbard U level of DFT.

Unit cell a=5.073 b=6.649 c=8.709 alpha=98.06 beta=94.58 gamma=98.07
Space group P1 (No. 1)
One atom of each set of equivalent atoms:
Li (0.000, 0.000, 0.000)
Li (0.000, 0.259, 0.761)
Li (0.241, 0.694, 0.820)
Li (0.483, 0.397, 0.637)
Li (0.483, 0.874, 0.122)
Li (0.495, 0.128, 0.885)
Li (0.498, 0.626, 0.380)
Li (0.980, 0.755, 0.255)
Li (0.998, 0.510, 0.514)
Mn (0.243, 0.194, 0.320)
Mn (0.743, 0.812, 0.693)
Co (0.245, 0.935, 0.578)
Co (0.246, 0.450, 0.060)
Co (0.742, 0.323, 0.189)
Co (0.749, 0.581, 0.944)
Co (0.750, 0.068, 0.447)
O (0.098, 0.709, 0.039)
O (0.105, 0.969, 0.771)
O (0.113, 0.216, 0.526)
O (0.122, 0.450, 0.283)
O (0.360, 0.166, 0.115)
O (0.373, 0.941, 0.363)
O (0.376, 0.414, 0.865)
O (0.392, 0.680, 0.601)
O (0.598, 0.336, 0.399)
O (0.611, 0.592, 0.161)
O (0.630, 0.846, 0.898)
O (0.634, 0.078, 0.651)
O (0.850, 0.557, 0.725)
O (0.861, 0.295, 0.987)
O (0.872, 0.790, 0.484)
O (0.882, 0.051, 0.245)

E_tot: -5.81 eV/atom
E_form: -1.82 eV/atom
Energy relative to the lowest polymorph listed for this composition: 42.0 meV per atom


Computed, not measured: a geometry-optimized ZnMo2O5 structure at the PBE with a Hubbard U level of DFT.

Unit cell a=3.780 b=10.450 c=12.311 alpha=90.00 beta=90.00 gamma=90.00
Space group Cmcm (No. 63)
One atom of each set of equivalent atoms:
Zn (0.000, 0.097, 0.250)
Mo (0.000, 0.200, 0.600)
O (0.000, 0.028, 0.632)
O (0.000, 0.232, 0.075)
O (0.000, 0.296, 0.750)

E_tot: -6.32 eV/atom
E_form: -1.59 eV/atom
Energy relative to the lowest polymorph listed for this composition: 0.0 meV per atom


Computed, not measured: a geometry-optimized LiV4O8 structure at the PBE with a Hubbard U level of DFT.

Unit cell a=12.737 b=3.824 c=6.400 alpha=90.00 beta=107.04 gamma=90.00
Space group C2/m (No. 12)
One atom of each set of equivalent atoms:
Li (0.000, 0.000, 0.000)
V (0.102, 0.000, 0.676)
V (0.207, 0.000, 0.290)
O (0.053, 0.000, 0.344)
O (0.134, 0.500, 0.693)
O (0.148, 0.000, 0.010)
O (0.242, 0.500, 0.360)

E_tot: -7.48 eV/atom
E_form: -2.44 eV/atom
Energy relative to the lowest polymorph listed for this composition: 0.0 meV per atom


Computed, not measured: a geometry-optimized Li3V3P8O29 structure at the PBE with a Hubbard U level of DFT.

Unit cell a=9.746 b=9.749 c=14.328 alpha=89.17 beta=89.79 gamma=60.35
Space group P1 (No. 1)
One atom of each set of equivalent atoms:
Li (0.000, 0.000, 0.000)
Li (0.009, 0.594, 0.507)
Li (0.096, 0.835, 0.393)
Li (0.688, 0.237, 0.886)
Li (0.700, 0.982, 0.443)
Li (0.859, 0.619, 0.004)
V (0.217, 0.484, 0.700)
V (0.221, 0.920, 0.196)
V (0.347, 0.923, 0.696)
V (0.348, 0.353, 0.194)
V (0.775, 0.488, 0.205)
V (0.786, 0.353, 0.687)
P (0.006, 0.010, 0.785)
P (0.012, 0.604, 0.288)
P (0.094, 0.695, 0.107)
P (0.094, 0.832, 0.606)
P (0.106, 0.260, 0.081)
P (0.116, 0.255, 0.576)
P (0.440, 0.587, 0.313)
P (0.453, 0.584, 0.813)
P (0.467, 0.144, 0.787)
P (0.476, 0.004, 0.285)
P (0.551, 0.232, 0.606)
P (0.556, 0.834, 0.104)
P (0.692, 0.240, 0.106)
P (0.693, 0.704, 0.609)
P (0.866, 0.137, 0.287)
P (0.868, 0.598, 0.789)
O (0.002, 0.693, 0.026)
O (0.010, 0.933, 0.876)
O (0.012, 0.683, 0.378)
O (0.012, 0.906, 0.517)
O (0.038, 0.574, 0.775)
O (0.042, 0.002, 0.282)
O (0.098, 0.261, 0.978)
O (0.106, 0.259, 0.472)
O (0.106, 0.409, 0.616)
O (0.113, 0.105, 0.124)
O (0.119, 0.841, 0.107)
O (0.123, 0.660, 0.612)
O (0.159, 0.017, 0.765)
O (0.165, 0.447, 0.272)
O (0.250, 0.834, 0.621)
O (0.253, 0.264, 0.123)
O (0.254, 0.542, 0.122)
O (0.262, 0.109, 0.621)
O (0.288, 0.736, 0.270)
O (0.304, 0.298, 0.769)
O (0.308, 0.576, 0.765)
O (0.318, 0.000, 0.273)
O (0.391, 0.385, 0.617)
O (0.401, 0.826, 0.127)
O (0.430, 0.593, 0.417)
O (0.435, 0.179, 0.273)
O (0.436, 0.004, 0.781)
O (0.441, 0.737, 0.767)
O (0.443, 0.584, 0.916)
O (0.447, 0.439, 0.268)
O (0.520, 0.839, 0.612)
O (0.524, 0.263, 0.112)
O (0.547, 0.916, 0.015)
O (0.550, 0.153, 0.871)
O (0.568, 0.930, 0.371)
O (0.569, 0.141, 0.521)
O (0.573, 0.124, 0.696)
O (0.578, 0.919, 0.194)
O (0.589, 0.592, 0.272)
O (0.603, 0.439, 0.774)
O (0.683, 0.400, 0.128)
O (0.685, 0.274, 0.616)
O (0.697, 0.542, 0.615)
O (0.698, 0.662, 0.113)
O (0.766, 0.721, 0.707)
O (0.775, 0.171, 0.016)
O (0.785, 0.114, 0.368)
O (0.785, 0.718, 0.530)
O (0.792, 0.121, 0.189)
O (0.799, 0.660, 0.881)
O (0.859, 0.178, 0.779)
O (0.859, 0.301, 0.277)
O (0.868, 0.577, 0.280)
O (0.877, 0.440, 0.764)
O (0.958, 0.403, 0.126)
O (0.966, 0.249, 0.620)
O (0.986, 0.918, 0.697)
O (0.993, 0.720, 0.203)

E_tot: -7.05 eV/atom
E_form: -2.52 eV/atom
Energy relative to the lowest polymorph listed for this composition: 10.4 meV per atom


What did the third record say?
Computed, not measured: a geometry-optimized Bi2W3C15O15 structure at the PBE with a Hubbard U level of DFT.

Unit cell a=7.085 b=11.029 c=17.563 alpha=87.50 beta=83.01 gamma=73.28
Space group P-1 (No. 2)
One atom of each set of equivalent atoms:
Bi (0.064, 0.255, 0.243)
Bi (0.350, 0.740, 0.726)
W (0.052, 0.985, 0.807)
W (0.133, 0.722, 0.583)
W (0.253, 0.523, 0.832)
C (0.005, 0.842, 0.146)
C (0.024, 0.462, 0.108)
C (0.066, 0.098, 0.415)
C (0.072, 0.076, 0.090)
C (0.098, 0.359, 0.408)
C (0.122, 0.714, 0.468)
C (0.179, 0.047, 0.704)
C (0.190, 0.418, 0.747)
C (0.229, 0.941, 0.229)
C (0.307, 0.629, 0.917)
C (0.321, 0.946, 0.852)
C (0.329, 0.542, 0.583)
C (0.341, 0.359, 0.893)
C (0.371, 0.797, 0.547)
C (0.451, 0.530, 0.214)
O (0.041, 0.743, 0.118)
O (0.118, 0.711, 0.403)
O (0.141, 0.105, 0.032)
O (0.158, 0.354, 0.703)
O (0.172, 0.459, 0.070)
O (0.179, 0.997, 0.415)
O (0.223, 0.408, 0.410)
O (0.253, 0.077, 0.647)
O (0.283, 0.569, 0.236)
O (0.335, 0.687, 0.966)
O (0.386, 0.891, 0.247)
O (0.394, 0.263, 0.925)
O (0.437, 0.440, 0.582)
O (0.466, 0.933, 0.881)
O (0.500, 0.163, 0.479)

E_tot: -7.43 eV/atom
E_form: -0.70 eV/atom